No. 1
Nd3SiMo4O14: relaxed, GGA+U.

a = 6.165 Å, b = 10.690 Å, c = 18.067 Å
α = 90.00°, β = 90.00°, γ = 90.00°
Fractional coordinates of all 88 atoms:
Nd  0.261  0.126  0.666
Nd  0.761  0.626  0.834
Nd  0.761  0.874  0.334
Nd  0.740  0.524  0.338
Nd  0.261  0.374  0.166
Nd  0.258  0.798  0.972
Nd  0.258  0.702  0.472
Nd  0.740  0.976  0.838
Nd  0.240  0.476  0.662
Nd  0.758  0.298  0.528
Nd  0.240  0.024  0.162
Nd  0.758  0.202  0.028
Si  0.756  0.901  0.053
Si  0.256  0.401  0.447
Si  0.756  0.599  0.553
Si  0.256  0.099  0.947
O  0.251  0.463  0.529
O  0.763  0.732  0.714
O  0.239  0.909  0.596
O  0.507  0.790  0.851
O  0.494  0.198  0.145
O  0.281  0.981  0.890
O  0.263  0.268  0.286
O  0.994  0.802  0.855
O  0.239  0.591  0.096
O  0.739  0.091  0.404
O  0.497  0.886  0.460
O  0.979  0.684  0.569
O  0.242  0.778  0.211
O  0.751  0.963  0.971
O  0.497  0.110  0.544
O  0.523  0.462  0.766
O  0.479  0.316  0.431
O  0.525  0.827  0.071
O  0.023  0.538  0.234
O  0.979  0.816  0.069
O  0.781  0.481  0.610
O  0.751  0.537  0.471
O  0.494  0.302  0.645
O  0.007  0.210  0.149
O  0.753  0.915  0.604
O  0.472  0.965  0.737
O  0.742  0.222  0.789
O  0.994  0.698  0.355
O  0.025  0.173  0.929
O  0.497  0.614  0.960
O  0.972  0.035  0.263
O  0.253  0.415  0.896
O  0.507  0.710  0.351
O  0.997  0.114  0.540
O  0.242  0.722  0.711
O  0.281  0.519  0.390
O  0.742  0.278  0.289
O  0.007  0.290  0.649
O  0.997  0.386  0.040
O  0.997  0.890  0.456
O  0.479  0.184  0.931
O  0.263  0.232  0.786
O  0.763  0.768  0.214
O  0.025  0.327  0.429
O  0.997  0.610  0.956
O  0.781  0.019  0.110
O  0.251  0.037  0.029
O  0.972  0.465  0.763
O  0.739  0.409  0.904
O  0.497  0.390  0.044
O  0.253  0.085  0.396
O  0.023  0.962  0.734
O  0.525  0.673  0.571
O  0.472  0.535  0.237
O  0.523  0.038  0.266
O  0.753  0.585  0.104
Mo  0.992  0.819  0.656
Mo  0.747  0.507  0.006
Mo  0.503  0.817  0.654
Mo  0.747  0.993  0.506
Mo  0.492  0.319  0.844
Mo  0.503  0.683  0.154
Mo  0.247  0.007  0.494
Mo  0.003  0.317  0.846
Mo  0.247  0.493  0.994
Mo  0.751  0.362  0.701
Mo  0.251  0.638  0.299
Mo  0.003  0.183  0.346
Mo  0.492  0.181  0.344
Mo  0.251  0.862  0.799
Mo  0.992  0.681  0.156
Mo  0.751  0.138  0.201

## Properties
Volume   13.53 Å³/atom
ρ   6.0 g/cm3
Space-group type   Pna2_1 (33)
Energy relative to the elements   -2.751 eV/atom

No. 2
Nd2TeMo6O46: relaxed, GGA+U.

a = 9.035 Å, b = 9.878 Å, c = 12.084 Å
α = 73.41°, β = 82.80°, γ = 70.21°
Fractional coordinates of all 55 atoms:
Nd  0.740  0.278  0.672
Nd  0.260  0.722  0.328
O  0.356  0.435  0.924
O  0.419  0.211  0.507
O  0.137  0.264  0.462
O  0.834  0.594  0.372
O  0.133  0.357  0.930
O  0.624  0.931  0.640
O  0.481  0.652  0.445
O  0.498  0.704  0.190
O  0.670  0.878  0.253
O  0.849  0.060  0.572
O  0.571  0.567  0.172
O  0.246  0.503  0.331
O  0.535  0.713  0.752
O  0.141  0.336  0.220
O  0.754  0.145  0.148
O  0.839  0.141  0.465
O  0.581  0.789  0.493
O  0.151  0.940  0.428
O  0.644  0.565  0.076
O  0.676  0.021  0.396
O  0.519  0.348  0.555
O  0.158  0.229  0.987
O  0.465  0.287  0.248
O  0.863  0.736  0.538
O  0.161  0.859  0.535
O  0.376  0.069  0.360
O  0.330  0.122  0.747
O  0.184  0.884  0.102
O  0.481  0.111  0.095
O  0.012  0.190  0.681
O  0.859  0.664  0.780
O  0.208  0.769  0.070
O  0.867  0.643  0.070
O  0.842  0.771  0.013
O  0.246  0.855  0.852
O  0.324  0.979  0.604
O  0.221  0.714  0.547
O  0.502  0.296  0.810
O  0.166  0.406  0.628
O  0.988  0.810  0.319
O  0.519  0.889  0.905
O  0.779  0.286  0.453
O  0.429  0.433  0.828
O  0.754  0.497  0.669
O  0.816  0.116  0.898
O  0.792  0.231  0.930
Mo  0.807  0.773  0.378
Mo  0.193  0.227  0.622
Mo  0.414  0.899  0.791
Mo  0.586  0.101  0.209
Mo  0.738  0.686  0.673
Mo  0.262  0.314  0.327
Te  0.500  0.000  0.500

## Properties
Volume   17.67 Å³/atom
ρ   3.0 g/cm3
Space-group type   P-1 (2)
Energy relative to the elements   -0.759 eV/atom

No. 3
Nd2Te4MoO14: relaxed, GGA+U.

a = 7.049 Å, b = 10.183 Å, c = 10.278 Å
α = 90.17°, β = 107.18°, γ = 93.25°
Fractional coordinates of all 42 atoms:
Te  0.365  0.728  0.542
Te  0.056  0.212  0.958
Te  0.944  0.788  0.042
Te  0.743  0.608  0.280
Te  0.927  0.833  0.633
Te  0.635  0.272  0.458
Te  0.073  0.167  0.367
Te  0.257  0.392  0.720
O  0.501  0.582  0.134
O  0.377  0.883  0.769
O  0.707  0.702  0.931
O  0.928  0.277  0.460
O  0.623  0.117  0.231
O  0.251  0.000  0.265
O  0.585  0.395  0.312
O  0.027  0.773  0.814
O  0.894  0.355  0.950
O  0.714  0.703  0.602
O  0.413  0.876  0.070
O  0.119  0.510  0.796
O  0.749  0.000  0.735
O  0.310  0.609  0.396
O  0.106  0.645  0.050
O  0.286  0.297  0.398
O  0.587  0.124  0.930
O  0.499  0.418  0.866
O  0.869  0.764  0.209
O  0.690  0.391  0.604
O  0.072  0.723  0.540
O  0.973  0.227  0.186
O  0.614  0.863  0.364
O  0.881  0.490  0.204
O  0.386  0.137  0.636
O  0.293  0.298  0.069
O  0.415  0.605  0.688
O  0.131  0.236  0.791
Mo  0.478  0.963  0.231
Mo  0.522  0.037  0.769
Nd  0.779  0.534  0.785
Nd  0.643  0.310  0.086
Nd  0.221  0.466  0.215
Nd  0.357  0.690  0.914

## Properties
Volume   16.75 Å³/atom
ρ   5.3 g/cm3
Space-group type   P-1 (2)
Energy relative to the elements   -2.228 eV/atom

No. 4
Nd2TeMo6O42: relaxed, GGA+U.

a = 8.725 Å, b = 10.971 Å, c = 11.117 Å
α = 98.32°, β = 113.02°, γ = 106.86°
Fractional coordinates of all 51 atoms:
O  0.751  0.342  0.407
O  0.318  0.412  0.550
O  0.995  0.525  0.895
O  0.480  0.082  0.322
O  0.054  0.802  0.070
O  0.914  0.537  0.050
O  0.682  0.588  0.450
O  0.556  0.661  0.646
O  0.965  0.175  0.048
O  0.573  0.814  0.461
O  0.223  0.805  0.414
O  0.793  0.905  0.096
O  0.473  0.506  0.188
O  0.702  0.968  0.110
O  0.045  0.061  0.389
O  0.646  0.287  0.824
O  0.167  0.465  0.734
O  0.035  0.825  0.952
O  0.730  0.769  0.288
O  0.545  0.286  0.126
O  0.427  0.186  0.539
O  0.981  0.142  0.415
O  0.005  0.475  0.105
O  0.955  0.939  0.611
O  0.777  0.195  0.586
O  0.270  0.231  0.712
O  0.349  0.574  0.375
O  0.833  0.535  0.266
O  0.455  0.714  0.874
O  0.354  0.713  0.176
O  0.527  0.494  0.812
O  0.207  0.095  0.904
O  0.086  0.463  0.950
O  0.298  0.032  0.890
O  0.019  0.858  0.585
O  0.946  0.198  0.930
O  0.111  0.167  0.126
O  0.444  0.339  0.354
O  0.651  0.426  0.625
O  0.249  0.658  0.593
O  0.889  0.833  0.874
O  0.520  0.918  0.678
Mo  0.479  0.320  0.705
Mo  0.640  0.418  0.270
Mo  0.521  0.680  0.295
Mo  0.360  0.582  0.730
Mo  0.413  0.779  0.541
Mo  0.587  0.221  0.459
Nd  0.052  0.263  0.754
Nd  0.948  0.737  0.246
Te  0.500  0.500  0.500

## Properties
Volume   17.57 Å³/atom
ρ   3.1 g/cm3
Space-group type   P-1 (2)
Energy relative to the elements   -0.959 eV/atom

No. 5
NdTlMo2O8: relaxed, GGA+U.

a = 6.411 Å, b = 6.411 Å, c = 9.707 Å
α = 90.00°, β = 90.00°, γ = 90.00°
Fractional coordinates of all 24 atoms:
O  0.111  0.304  0.139
O  0.889  0.696  0.139
O  0.389  0.804  0.639
O  0.304  0.111  0.861
O  0.389  0.196  0.361
O  0.611  0.196  0.639
O  0.889  0.304  0.861
O  0.804  0.611  0.639
O  0.111  0.696  0.861
O  0.611  0.804  0.361
O  0.304  0.889  0.139
O  0.196  0.389  0.639
O  0.696  0.111  0.139
O  0.196  0.611  0.361
O  0.804  0.389  0.361
O  0.696  0.889  0.861
Mo  0.000  0.500  0.750
Mo  0.500  0.000  0.250
Mo  0.500  0.000  0.750
Mo  0.000  0.500  0.250
Nd  0.000  0.000  0.000
Nd  0.500  0.500  0.500
Tl  0.000  0.000  0.500
Tl  0.500  0.500  0.000

## Properties
Volume   16.62 Å³/atom
ρ   5.6 g/cm3
Space-group type   P4/nnc (126)
Energy relative to the elements   -2.358 eV/atom

No. 6
NdY3Mo8O30: relaxed, GGA+U.

a = 6.959 Å, b = 9.800 Å, c = 10.801 Å
α = 89.96°, β = 74.52°, γ = 89.94°
Fractional coordinates of all 42 atoms:
O  0.974  0.127  0.397
O  0.022  0.625  0.104
O  0.241  0.365  0.380
O  0.499  0.999  0.000
O  0.123  0.556  0.685
O  0.778  0.848  0.418
O  0.780  0.651  0.920
O  0.613  0.279  0.852
O  0.115  0.666  0.398
O  0.115  0.830  0.904
O  0.885  0.167  0.101
O  0.222  0.158  0.576
O  0.874  0.059  0.819
O  0.613  0.223  0.351
O  0.124  0.944  0.185
O  0.559  0.030  0.708
O  0.451  0.526  0.791
O  0.500  0.498  0.500
O  0.387  0.723  0.148
O  0.019  0.872  0.599
O  0.450  0.972  0.290
O  0.550  0.472  0.209
O  0.218  0.350  0.082
O  0.757  0.864  0.119
O  0.883  0.335  0.601
O  0.394  0.772  0.645
O  0.758  0.635  0.618
O  0.975  0.373  0.898
O  0.876  0.443  0.315
O  0.247  0.139  0.885
Mo  0.080  0.258  0.990
Mo  0.381  0.904  0.156
Mo  0.381  0.592  0.656
Mo  0.620  0.404  0.344
Mo  0.916  0.755  0.509
Mo  0.618  0.098  0.846
Mo  0.917  0.741  0.013
Mo  0.078  0.246  0.487
Y  0.791  0.477  0.776
Y  0.791  0.023  0.276
Y  0.210  0.524  0.224
Nd  0.213  0.977  0.722

## Properties
Volume   16.90 Å³/atom
ρ   3.9 g/cm3
Space-group type   P1 (1)
Energy relative to the elements   -2.508 eV/atom

Question: What is the volume in the fourth record?
Answer: 17.57 Å³/atom